Ba2Ti2CuF14 | PBE | relaxed

a = 7.6893 Å, b = 7.6893 Å, c = 15.3131 Å
α = 88.89°, β = 88.89°, γ = 40.96°
Positions (direct):
Ba 0.1059 0.2492 0.8765
Ba 0.2492 0.1059 0.3765
Ba 0.8941 0.7508 0.1235
Ba 0.7508 0.8941 0.6235
Ti 0.1008 0.1425 0.6287
Ti 0.8992 0.8575 0.3713
Ti 0.1425 0.1008 0.1287
Ti 0.8575 0.8992 0.8713
Cu 0.5000 0.5000 0.5000
Cu 0.5000 0.5000 0.0000
F 0.9410 0.0594 0.1514
F 0.8872 0.3975 0.0507
F 0.1128 0.6025 0.9493
F 0.6430 0.8648 0.9116
F 0.6256 0.4985 0.8967
F 0.5015 0.3744 0.6033
F 0.3975 0.8872 0.5507
F 0.9406 0.0590 0.3486
F 0.3571 0.9906 0.7166
F 0.3570 0.1352 0.0884
F 0.8463 0.4053 0.7062
F 0.1352 0.3570 0.5884
F 0.4053 0.8463 0.2062
F 0.1537 0.5947 0.2938
F 0.4985 0.6256 0.3967
F 0.6429 0.0094 0.2834
F 0.1192 0.7093 0.4758
F 0.0590 0.9406 0.8486
F 0.8808 0.2907 0.5242
F 0.7093 0.1192 0.9758
F 0.6025 0.1128 0.4493
F 0.5947 0.1537 0.7938
F 0.9906 0.3571 0.2166
F 0.2907 0.8808 0.0242
F 0.3744 0.5015 0.1033
F 0.0594 0.9410 0.6514
F 0.0094 0.6429 0.7834
F 0.8648 0.6430 0.4116

Values from the calculation:
As for the total magnetic moment: 1.00 μB/f.u. As for the calculated formation energy: -3.586 eV/atom.